! NaYTaP3O12 | Materials Project | GGA-PBE | optimized geometry; values from VASP
&SYSTEM
  ibrav = 0, nat = 108, ntyp = 5
/
ATOMIC_SPECIES
O 16.00 O.upf
Na 22.99 Na.upf
P 30.97 P.upf
Ta 180.95 Ta.upf
Y 88.91 Y.upf
CELL_PARAMETERS angstrom
-2.043 -6.573 5.776
1.117 -1.866 -8.718
22.613 -3.773 3.705
ATOMIC_POSITIONS angstrom
O 13.007 -8.780 4.394
O 5.168 -3.640 -6.743
O 0.041 -3.740 0.186
O 15.180 -9.690 -1.231
O 8.469 -5.969 3.922
O 6.108 -7.923 -1.148
O 10.496 -6.924 -2.652
O 1.905 -7.235 0.944
O 3.724 -7.554 -1.917
O 21.287 -6.613 -4.192
O 11.561 -8.795 6.435
O 17.040 -11.014 1.763
O 17.970 -4.746 2.470
O 13.582 -5.746 3.974
O 13.290 -3.924 -1.163
O 11.198 -5.377 3.205
O 19.560 -9.816 5.090
O 1.575 -3.352 -1.860
O 22.173 -5.434 0.377
O 11.132 -7.590 1.354
O 4.737 -6.296 0.104
O 20.802 -3.807 1.629
O 4.584 -1.328 -0.825
O 8.143 -6.272 -3.322
O 19.723 -7.278 -2.243
O 13.012 -3.554 2.911
O -0.448 -6.583 0.274
O 5.967 -3.085 -2.130
O 16.229 -6.495 2.545
O 10.166 -3.041 -5.457
O 17.533 -5.405 -2.303
O 15.597 -7.437 5.441
O 10.492 -4.752 -0.417
O 16.598 -4.397 -4.496
O 13.328 -5.985 -3.493
O 8.632 -3.429 -3.410
O 8.755 -8.672 -2.577
O 13.654 -7.697 1.544
O 2.517 -4.264 0.231
O 12.697 -6.924 -0.596
O 0.351 -6.028 4.889
O 15.617 -4.094 1.800
O 19.789 -5.065 -0.391
O 4.106 -7.236 3.001
O 9.087 -3.233 0.930
O 16.961 -7.813 -1.268
O 8.007 -4.708 -0.900
O 17.060 -5.657 0.326
O 12.515 -9.346 0.049
O 1.822 -1.863 0.149
O 22.245 -7.385 -2.052
O 21.598 -8.468 0.798
O 19.989 -7.169 5.171
O 5.538 -5.732 -2.211
O 20.151 -8.483 2.838
O 19.838 -10.186 1.016
O 1.901 -5.064 3.180
O -0.584 -5.020 2.696
O 10.599 -8.035 4.155
O 2.207 -2.410 -4.757
O 15.635 -9.495 3.110
O 1.613 -5.411 -4.192
O 5.063 -8.008 5.141
O 16.539 -8.348 7.532
O 4.699 -4.236 2.433
O 8.370 -8.125 2.328
O 0.995 -8.146 -1.200
O 6.130 -4.399 -4.463
O 11.108 -3.952 -3.365
O 6.459 -2.518 2.215
O 8.942 -5.716 1.293
O 19.190 -7.724 0.559
Na 3.762 -4.052 -3.281
Na 6.478 -6.250 2.168
Na 22.543 -3.761 3.693
Na 11.236 -1.875 1.841
Na 15.069 -5.939 -1.429
Na 17.784 -8.137 4.020
P 17.741 -4.256 -3.375
P 5.969 -1.592 -1.596
P 16.638 -9.282 -1.767
P 16.721 -5.261 1.822
P 21.108 -7.543 -3.013
P 9.247 -7.438 -3.300
P 5.029 -6.890 -1.256
P 0.559 -4.879 3.817
P 21.094 -4.401 0.270
P 11.614 -9.054 4.872
P 1.500 -3.332 -0.350
P 6.183 -4.658 -6.026
P 9.150 -4.567 0.221
P 12.517 -7.854 0.583
P 0.656 -7.750 0.297
P 10.090 -3.021 -3.947
P 20.205 -8.742 1.275
P 12.503 -4.712 3.866
Ta 7.169 -4.621 -2.723
Ta 9.885 -6.819 2.726
Ta 3.337 -0.557 0.547
Ta 14.643 -2.443 2.399
Ta 18.476 -6.507 -0.871
Ta 21.191 -8.705 4.578
Y 19.318 -3.223 3.165
Y 14.559 -7.598 3.492
Y 11.844 -5.401 -1.957
Y 0.538 -3.514 -3.809
Y 3.253 -5.712 1.639
Y 8.011 -1.337 1.313
! calculated formation energy	-3060.5	meV per atom
! E_tot	-852.64	eV per cell

! Na6Y5Ta3P12O48 | Materials Project | GGA-PBE | optimized geometry; values from VASP
&SYSTEM
  ibrav = 0, nat = 222, ntyp = 5
/
ATOMIC_SPECIES
O 16.00 O.upf
Ta 180.95 Ta.upf
P 30.97 P.upf
Na 22.99 Na.upf
Y 88.91 Y.upf
CELL_PARAMETERS angstrom
18.142 0.002 0.017
-4.535 7.859 -0.005
0.022 -0.003 23.207
ATOMIC_POSITIONS angstrom
O 12.742 4.168 21.470
O 8.163 4.018 13.229
O 5.419 6.256 2.105
O 7.367 5.409 17.601
O 10.832 5.285 5.969
O 9.997 3.990 1.612
O 17.250 1.395 7.141
O 11.838 7.769 16.249
O 2.885 2.248 17.482
O 11.957 2.251 17.487
O 6.332 7.821 4.588
O 6.574 2.959 14.880
O 7.187 5.132 8.399
O 12.623 6.344 4.615
O 3.707 4.285 12.254
O 5.427 4.163 9.830
O -2.768 7.706 4.590
O 2.765 2.621 9.820
O 11.887 7.762 1.925
O -1.003 3.633 19.950
O -0.982 6.732 5.955
O 9.948 6.908 8.392
O 1.056 6.573 10.869
O 12.784 4.285 12.258
O 11.006 5.131 20.021
O 7.381 5.507 10.878
O 9.875 1.506 1.934
O 1.709 0.267 7.085
O -0.550 3.707 22.462
O -0.875 6.930 19.930
O 14.311 0.732 3.157
O 1.721 5.498 22.539
O 0.770 1.558 16.246
O 2.765 7.770 16.235
O -3.477 6.668 9.464
O 0.926 1.604 2.149
O 15.410 2.528 12.378
O 1.027 3.667 8.399
O 12.678 6.403 13.546
O 2.894 2.914 3.195
O -0.790 1.541 13.576
O -1.630 5.481 10.786
O 6.099 7.575 21.158
O 13.102 4.211 5.896
O 3.259 4.173 14.762
O 2.721 2.526 0.697
O 12.890 0.706 14.891
O 8.068 6.712 5.938
O 14.640 1.043 0.646
O 12.638 1.122 12.378
O -3.577 6.411 1.966
O 10.593 5.045 13.204
O 12.593 6.664 21.200
O 14.901 4.200 3.272
O 3.673 4.177 21.451
O -0.801 3.713 5.927
O 0.687 3.601 17.573
O 8.497 6.660 13.233
O 8.041 6.532 22.453
O 3.817 0.701 14.888
O 9.841 1.564 16.250
O 2.983 7.543 9.504
O 6.338 2.630 21.396
O 14.546 4.168 9.800
O 10.003 6.733 17.554
O 8.452 3.687 22.427
O 8.196 6.941 19.940
O 8.284 3.604 6.011
O 15.242 2.368 5.916
O -1.885 5.145 8.269
O 4.049 4.107 5.612
O 12.445 1.407 5.916
O 10.143 6.573 10.876
O 7.447 0.094 18.750
O 14.257 4.166 17.493
O 5.659 1.378 17.501
O 8.313 1.616 4.594
O 6.351 2.526 12.371
O 9.672 3.691 10.788
O 14.428 4.246 0.758
O 5.539 6.656 9.510
O 5.602 3.911 3.188
O 1.825 5.244 5.914
O 11.809 2.512 0.753
O 0.929 1.315 18.749
O 9.760 3.609 17.577
O 5.189 4.162 17.480
O -0.926 4.025 13.225
O 10.747 5.459 22.507
O 3.506 1.398 5.596
O 3.536 6.671 21.189
O 0.932 6.733 17.543
O 5.536 1.093 0.692
O 15.639 2.954 14.891
O 10.643 0.137 7.097
O -1.511 5.017 1.607
O 7.516 4.928 1.756
O 10.117 3.620 8.280
O -3.501 6.411 16.270
O 9.643 6.640 1.607
O 3.669 1.047 21.418
O 3.559 1.113 12.378
O 12.084 7.587 9.520
O -0.587 6.653 13.231
O 12.932 6.419 7.106
O -0.968 6.545 22.449
O 3.580 6.339 4.567
O 6.109 2.327 5.613
O 5.361 4.223 0.689
O 6.283 7.789 13.578
O 0.642 3.663 10.883
O 3.612 6.403 13.538
O 12.329 4.173 14.767
O 0.497 6.747 1.751
O -2.794 7.785 13.577
O 8.561 1.485 21.145
O 11.801 2.614 9.812
O -0.832 1.612 4.614
O -1.706 5.408 17.600
O 10.001 1.319 18.749
O 14.732 1.379 17.513
O 1.061 4.083 1.761
O 5.453 1.078 9.835
O 1.519 5.057 13.212
O 12.744 1.053 21.440
O 7.240 0.015 2.137
O 7.976 1.279 7.077
O 11.584 2.923 3.266
O 14.516 1.067 9.829
O 0.547 1.486 9.542
O 16.519 0.097 18.765
O 0.835 6.939 8.381
O 5.265 6.362 18.768
O 9.574 1.480 9.459
O 1.918 5.148 20.043
O -0.499 1.491 21.159
O 8.049 3.610 19.912
O 3.900 6.242 7.081
O 15.439 2.671 21.468
O -2.966 7.548 21.169
O 5.122 1.055 3.191
O 14.332 6.368 18.783
O 5.571 6.408 16.273
O 8.286 1.539 13.587
Ta 9.069 5.246 11.972
Ta 9.054 5.208 0.422
Ta 4.539 2.629 4.313
Ta 0.017 5.260 0.446
Ta -0.006 5.241 11.969
Ta 0.018 0.045 8.236
Ta 4.548 7.838 19.885
Ta 4.508 7.819 8.229
Ta 13.612 7.837 19.906
P 1.903 2.740 1.933
P 12.164 4.966 13.441
P 14.920 0.183 1.849
P 11.772 5.312 21.314
P 10.862 2.678 1.914
P 10.502 7.516 9.654
P -1.385 7.498 21.246
P 6.389 5.320 9.656
P -1.224 2.898 21.265
P 3.244 0.190 13.526
P 1.404 7.516 9.651
P 16.363 2.710 13.525
P -2.646 5.321 9.574
P 1.339 2.210 17.483
P 12.341 5.570 5.878
P 6.466 0.046 17.484
P 5.943 4.844 1.919
P 14.894 5.572 17.515
P 12.322 0.201 13.522
P 3.320 5.521 5.788
P 11.676 0.059 5.863
P 5.763 0.288 1.933
P 7.682 7.508 21.258
P 5.825 5.568 17.502
P 16.791 2.272 5.881
P 1.283 2.887 9.661
P 2.631 0.090 5.803
P 7.817 2.878 21.226
P 10.411 2.218 17.486
P 10.329 2.881 9.589
P 2.712 5.331 21.316
P 7.676 2.213 5.821
P 7.305 2.708 13.521
P 15.046 4.965 1.929
P 3.089 4.970 13.440
P 15.538 0.047 17.496
Na 9.255 5.236 15.352
Na 10.671 2.912 5.814
Na 9.082 0.002 11.708
Na 13.595 7.825 0.126
Na 0.185 5.237 15.336
Na 0.141 5.210 3.910
Na 13.677 2.501 7.814
Na 9.091 0.046 0.099
Na 7.439 2.919 17.348
Na -1.635 2.918 17.331
Na -4.516 7.857 11.688
Na -2.820 5.001 5.819
Na 4.494 2.722 19.382
Na 9.016 5.417 3.900
Na 13.558 2.720 19.417
Na 7.882 7.803 17.340
Na 4.537 2.620 7.857
Na -1.189 7.800 17.322
Y 13.617 2.627 11.147
Y 13.639 2.611 22.787
Y 18.100 0.012 3.392
Y 9.027 5.296 7.328
Y 4.550 7.854 3.364
Y 4.502 2.690 15.784
Y 0.099 5.234 18.972
Y 4.562 2.601 22.729
Y 13.570 2.692 15.793
Y 4.534 7.826 14.944
Y 9.163 5.239 18.987
Y 13.649 2.535 4.245
Y 13.599 7.829 14.950
Y 0.101 5.250 7.296
Y 4.547 2.612 11.174
! calculated formation energy	-3075.9	meV per atom
! space-group type	P1 (1)
! E_tot	-1718.84	eV per cell

- Number 2 is which compound?
  Na6Y5Ta3P12O48